# 1
## AcGa3 (meta-GGA r2SCAN)

Data for crystalline AcGa3 at its relaxed geometry.

Properties
formation energy = -0.60 eV per atom
symmetry = P6_3/mmc
ρ = 7.71 g/cm3

Cell and atoms, written as POSCAR:
```
AcGa3
1.0
6.8634 0.0000 0.0000
-3.4317 5.9439 0.0000
0.0000 0.0000 4.6048
Ga Ac
6 2
Direct
0.8685 0.1315 0.7500 Ga
0.1315 0.2630 0.2500 Ga
0.7370 0.8685 0.2500 Ga
0.2630 0.1315 0.7500 Ga
0.8685 0.7370 0.7500 Ga
0.1315 0.8685 0.2500 Ga
0.3333 0.6667 0.7500 Ac
0.6667 0.3333 0.2500 Ac
```

---

# 2
## Ac2InGa (meta-GGA r2SCAN)

Data for crystalline Ac2InGa at its relaxed geometry.

Properties
formation energy = -0.51 eV per atom
symmetry = Fm-3m
ρ = 8.12 g/cm3

Cell and atoms, written as POSCAR:
```
Ac2InGa
1.0
-2.7175 3.2259 3.8272
-4.8135 2.6819 -1.4406
-4.9787 -1.7283 2.1595
Ac Ga In
2 1 1
Direct
0.2500 0.2500 0.2500 Ac
0.7500 0.7500 0.7500 Ac
0.5000 0.5000 0.5000 Ga
0.0000 0.0000 0.0000 In
```